DFT (PBE) results for Cu3P4S4I3 after structural relaxation.

Computed properties:
Volume   376 Å³/f.u.
Formation energy   -444 meV/atom
Total magnetic moment   0.005 μB per atom

a = 19.446 Å, b = 19.446 Å, c = 6.892 Å
α = 90.00°, β = 90.00°, γ = 120.00°
Positions (direct):
Cu: 0.872 0.872 0.810
Cu: 0.872 0.000 0.310
Cu: 0.333 0.536 0.988
Cu: 0.000 0.128 0.810
Cu: 0.464 0.796 0.988
Cu: 0.667 0.204 0.988
Cu: 0.464 0.667 0.488
Cu: 0.536 0.204 0.488
Cu: 0.667 0.464 0.488
Cu: 0.796 0.333 0.488
Cu: 0.333 0.796 0.488
Cu: 0.128 0.000 0.810
Cu: 0.204 0.536 0.488
Cu: 0.796 0.464 0.988
Cu: 0.128 0.128 0.310
Cu: 0.536 0.333 0.988
Cu: 0.000 0.872 0.310
Cu: 0.204 0.667 0.988
P: 0.427 0.336 0.069
P: 0.427 0.092 0.569
P: 0.336 0.908 0.569
P: 0.400 0.000 0.810
P: 0.092 0.664 0.069
P: 0.000 0.763 0.218
P: 0.336 0.427 0.069
P: 0.000 0.237 0.718
P: 0.600 0.600 0.810
P: 0.763 0.000 0.218
P: 0.763 0.763 0.718
P: 0.664 0.573 0.569
P: 0.908 0.336 0.569
P: 0.000 0.400 0.810
P: 0.600 0.000 0.310
P: 0.092 0.427 0.569
P: 0.400 0.400 0.310
P: 0.908 0.573 0.069
P: 0.000 0.600 0.310
P: 0.573 0.908 0.069
P: 0.573 0.664 0.569
P: 0.664 0.092 0.069
P: 0.237 0.237 0.218
P: 0.237 0.000 0.718
S: 0.307 0.307 0.458
S: 0.898 0.676 0.067
S: 0.410 0.410 0.870
S: 0.410 0.000 0.370
S: 0.693 0.000 0.458
S: 0.898 0.221 0.567
S: 0.000 0.410 0.370
S: 0.676 0.779 0.567
S: 0.590 0.000 0.870
S: 0.000 0.693 0.458
S: 0.000 0.590 0.870
S: 0.676 0.898 0.067
S: 0.102 0.779 0.067
S: 0.779 0.676 0.567
S: 0.221 0.898 0.567
S: 0.102 0.324 0.567
S: 0.324 0.221 0.067
S: 0.693 0.693 0.958
S: 0.307 0.000 0.958
S: 0.324 0.102 0.567
S: 0.590 0.590 0.370
S: 0.000 0.307 0.958
S: 0.221 0.324 0.067
S: 0.779 0.102 0.067
I: 0.334 0.797 0.099
I: 0.203 0.666 0.599
I: 0.666 0.463 0.099
I: 0.871 0.000 0.694
I: 0.334 0.537 0.599
I: 0.463 0.797 0.599
I: 0.537 0.203 0.099
I: 0.537 0.334 0.599
I: 0.871 0.871 0.194
I: 0.797 0.463 0.599
I: 0.000 0.871 0.694
I: 0.463 0.666 0.099
I: 0.666 0.203 0.599
I: 0.129 0.129 0.694
I: 0.203 0.537 0.099
I: 0.000 0.129 0.194
I: 0.129 0.000 0.194
I: 0.797 0.334 0.099